No. 1
A geometry-optimized NaLa2TaO6 structure, computed with GGA-PBE.

Summary:
symmetry: P2_1/c
volume: 285.6 Å³/cell
energy of formation from the pure elements: -3.51 eV/atom
magnetic moment: 0.000 μB/atom

Lattice parameters (Å, degrees): 5.724 6.022 9.991 90.00 123.99 90.00
Sites, in units of the cell vectors:
Na: 0.000 0.000 0.000
Na: 0.000 0.500 0.500
La: 0.225 0.059 0.743
La: 0.225 0.441 0.243
La: 0.775 0.559 0.757
La: 0.775 0.941 0.257
Ta: 0.500 0.000 0.500
Ta: 0.500 0.500 0.000
O: 0.162 0.175 0.448
O: 0.162 0.325 0.948
O: 0.255 0.725 0.423
O: 0.255 0.775 0.923
O: 0.400 0.060 0.275
O: 0.400 0.440 0.775
O: 0.600 0.560 0.225
O: 0.600 0.940 0.725
O: 0.745 0.225 0.077
O: 0.745 0.275 0.577
O: 0.838 0.675 0.052
O: 0.838 0.825 0.552

---

No. 2
A geometry-optimized Sc2Se3 structure, computed with GGA-PBE.

Summary:
symmetry: C2/c
volume: 244.7 Å³/cell
energy of formation from the pure elements: -1.96 eV/atom

Lattice parameters (Å, degrees): 6.692 6.692 6.659 99.92 99.92 119.21
Sites, in units of the cell vectors:
Sc: 0.088 0.912 0.750
Sc: 0.253 0.747 0.250
Sc: 0.747 0.253 0.750
Sc: 0.912 0.088 0.250
Se: 0.000 0.500 0.500
Se: 0.153 0.327 0.002
Se: 0.327 0.153 0.502
Se: 0.500 0.000 0.000
Se: 0.673 0.847 0.498
Se: 0.847 0.673 0.998

---

No. 3
A geometry-optimized TlFeS2 structure, computed with GGA-PBE.

Summary:
symmetry: I-4m2
volume: 170.8 Å³/cell
energy of formation from the pure elements: -0.49 eV/atom
magnetic moment: 0.000 μB/atom

Lattice parameters (Å, degrees): 3.696 3.696 12.507 90.00 90.00 90.00
Sites, in units of the cell vectors:
Tl: 0.000 0.000 0.000
Tl: 0.500 0.500 0.500
Fe: 0.000 0.500 0.250
Fe: 0.500 0.000 0.750
S: 0.000 0.000 0.335
S: 0.000 0.000 0.665
S: 0.500 0.500 0.165
S: 0.500 0.500 0.835

---

No. 4
A geometry-optimized CsPPbO4 structure, computed with GGA-PBE.

Summary:
symmetry: Pnma
volume: 536.0 Å³/cell
energy of formation from the pure elements: -2.43 eV/atom
magnetic moment: 0.000 μB/atom

Lattice parameters (Å, degrees): 10.084 5.802 9.163 90.00 90.00 90.00
Sites, in units of the cell vectors:
Cs: 0.023 0.250 0.148
Cs: 0.477 0.750 0.648
Cs: 0.523 0.250 0.352
Cs: 0.977 0.750 0.852
P: 0.165 0.750 0.409
P: 0.335 0.250 0.909
P: 0.665 0.750 0.091
P: 0.835 0.250 0.591
Pb: 0.157 0.250 0.588
Pb: 0.343 0.750 0.088
Pb: 0.657 0.250 0.912
Pb: 0.843 0.750 0.412
O: 0.058 0.750 0.535
O: 0.097 0.750 0.258
O: 0.247 0.030 0.928
O: 0.247 0.470 0.928
O: 0.253 0.530 0.428
O: 0.253 0.970 0.428
O: 0.403 0.250 0.758
O: 0.442 0.250 0.035
O: 0.558 0.750 0.965
O: 0.597 0.750 0.242
O: 0.747 0.030 0.572
O: 0.747 0.470 0.572
O: 0.753 0.530 0.072
O: 0.753 0.970 0.072
O: 0.903 0.250 0.742
O: 0.942 0.250 0.465

---

No. 5
A geometry-optimized K3Na9Sr4B20O40 structure, computed with GGA-PBE.

Summary:
symmetry: P1
volume: 958.1 Å³/cell
energy of formation from the pure elements: -2.81 eV/atom
magnetic moment: 0.000 μB/atom

Lattice parameters (Å, degrees): 7.488 9.883 13.701 92.01 90.92 108.94
Sites, in units of the cell vectors:
K: 0.000 0.000 0.000
K: 0.213 0.125 0.251
K: 0.712 0.125 0.750
Na: 0.067 0.674 0.883
Na: 0.146 0.452 0.368
Na: 0.264 0.725 0.125
Na: 0.449 0.400 0.626
Na: 0.508 0.013 0.501
Na: 0.567 0.675 0.383
Na: 0.646 0.451 0.868
Na: 0.763 0.726 0.625
Na: 0.949 0.400 0.126
Sr: 0.044 0.780 0.407
Sr: 0.171 0.346 0.844
Sr: 0.542 0.779 0.907
Sr: 0.670 0.345 0.344
B: 0.231 0.843 0.694
B: 0.238 0.192 0.483
B: 0.299 0.104 0.747
B: 0.303 0.698 0.549
B: 0.329 0.478 0.033
B: 0.384 0.647 0.717
B: 0.414 0.021 0.003
B: 0.414 0.430 0.201
B: 0.475 0.928 0.270
B: 0.484 0.284 0.056
B: 0.729 0.842 0.194
B: 0.738 0.197 0.981
B: 0.799 0.104 0.248
B: 0.799 0.695 0.050
B: 0.829 0.478 0.533
B: 0.884 0.647 0.217
B: 0.908 0.021 0.502
B: 0.914 0.430 0.701
B: 0.975 0.928 0.769
B: 0.983 0.283 0.556
O: 0.039 0.822 0.728
O: 0.096 0.055 0.467
O: 0.112 0.068 0.784
O: 0.175 0.301 0.521
O: 0.221 0.796 0.589
O: 0.269 0.562 0.976
O: 0.290 0.669 0.453
O: 0.295 0.901 0.294
O: 0.299 0.886 0.992
O: 0.312 0.490 0.136
O: 0.313 0.753 0.755
O: 0.352 0.995 0.702
O: 0.362 0.132 0.048
O: 0.400 0.373 0.996
O: 0.400 0.636 0.614
O: 0.414 0.240 0.758
O: 0.419 0.212 0.462
O: 0.423 0.455 0.297
O: 0.443 0.563 0.774
O: 0.498 0.334 0.161
O: 0.538 0.822 0.229
O: 0.601 0.058 0.966
O: 0.612 0.068 0.285
O: 0.674 0.304 0.022
O: 0.714 0.791 0.090
O: 0.769 0.562 0.476
O: 0.789 0.669 0.954
O: 0.791 0.886 0.492
O: 0.796 0.900 0.793
O: 0.812 0.490 0.636
O: 0.813 0.752 0.255
O: 0.851 0.993 0.203
O: 0.856 0.132 0.546
O: 0.901 0.374 0.495
O: 0.901 0.636 0.115
O: 0.914 0.240 0.258
O: 0.918 0.225 0.958
O: 0.924 0.456 0.797
O: 0.943 0.563 0.275
O: 0.998 0.334 0.660

---

No. 6
A geometry-optimized Sr2HfTiO6 structure, computed with GGA-PBE.

Summary:
symmetry: Fm-3m
volume: 132.1 Å³/cell
energy of formation from the pure elements: -3.66 eV/atom
magnetic moment: 0.000 μB/atom

Lattice parameters (Å, degrees): 5.717 5.717 5.717 60.00 60.00 60.00
Sites, in units of the cell vectors:
Sr: 0.250 0.250 0.250
Sr: 0.750 0.750 0.750
Hf: 0.000 0.000 0.000
Ti: 0.500 0.500 0.500
O: 0.256 0.256 0.744
O: 0.256 0.744 0.256
O: 0.256 0.744 0.744
O: 0.744 0.256 0.256
O: 0.744 0.256 0.744
O: 0.744 0.744 0.256

---

No. 7
A geometry-optimized Zn7H10S2O18 structure, computed with GGA-PBE.

Summary:
symmetry: P-1
volume: 377.1 Å³/cell
energy of formation from the pure elements: -1.62 eV/atom
magnetic moment: 0.000 μB/atom

Lattice parameters (Å, degrees): 5.572 8.166 9.030 67.10 86.34 85.51
Sites, in units of the cell vectors:
Zn: 0.000 0.000 0.000
Zn: 0.003 0.656 0.330
Zn: 0.467 0.647 0.608
Zn: 0.499 0.810 0.187
Zn: 0.501 0.190 0.813
Zn: 0.533 0.353 0.392
Zn: 0.997 0.344 0.670
H: 0.105 0.321 0.401
H: 0.215 0.003 0.740
H: 0.217 0.669 0.054
H: 0.229 0.888 0.399
H: 0.259 0.445 0.854
H: 0.741 0.555 0.146
H: 0.771 0.112 0.601
H: 0.783 0.331 0.946
H: 0.785 0.997 0.260
H: 0.895 0.679 0.599
S: 0.289 0.214 0.182
S: 0.711 0.786 0.818
O: 0.103 0.141 0.311
O: 0.181 0.402 0.438
O: 0.191 0.095 0.785
O: 0.198 0.754 0.107
O: 0.225 0.396 0.071
O: 0.296 0.770 0.406
O: 0.298 0.436 0.749
O: 0.323 0.094 0.087
O: 0.473 0.796 0.742
O: 0.527 0.204 0.258
O: 0.677 0.906 0.913
O: 0.702 0.564 0.251
O: 0.704 0.230 0.594
O: 0.775 0.604 0.929
O: 0.802 0.246 0.893
O: 0.809 0.905 0.215
O: 0.819 0.598 0.562
O: 0.897 0.859 0.689

---

No. 8
A geometry-optimized BaMg6AlO8 structure, computed with GGA-PBE.

Summary:
symmetry: P4/mmm
volume: 195.6 Å³/cell
energy of formation from the pure elements: -2.56 eV/atom
distance to the lowest polymorph of the same formula: 0 meV per atom
magnetic moment: 0.000 μB/atom

Lattice parameters (Å, degrees): 4.766 4.766 8.614 90.00 90.00 90.00
Sites, in units of the cell vectors:
Ba: 0.000 0.000 0.000
Mg: 0.000 0.500 0.263
Mg: 0.000 0.500 0.737
Mg: 0.500 0.000 0.263
Mg: 0.500 0.000 0.737
Mg: 0.500 0.500 0.000
Mg: 0.500 0.500 0.500
Al: 0.000 0.000 0.500
O: 0.000 0.000 0.295
O: 0.000 0.000 0.705
O: 0.000 0.500 0.000
O: 0.000 0.500 0.500
O: 0.500 0.000 0.000
O: 0.500 0.000 0.500
O: 0.500 0.500 0.250
O: 0.500 0.500 0.750

---

No. 9
A geometry-optimized Hf2SiMo3 structure, computed with GGA-PBE.

Summary:
symmetry: P6_3/mmc
volume: 209.1 Å³/cell
energy of formation from the pure elements: -0.36 eV/atom
magnetic moment: 0.000 μB/atom

Lattice parameters (Å, degrees): 5.300 5.300 8.598 90.00 90.00 120.00
Sites, in units of the cell vectors:
Hf: 0.333 0.667 0.063
Hf: 0.333 0.667 0.437
Hf: 0.667 0.333 0.563
Hf: 0.667 0.333 0.937
Si: 0.000 0.000 0.000
Si: 0.000 0.000 0.500
Mo: 0.170 0.340 0.750
Mo: 0.170 0.830 0.750
Mo: 0.340 0.170 0.250
Mo: 0.660 0.830 0.750
Mo: 0.830 0.170 0.250
Mo: 0.830 0.660 0.250

---

No. 10
A geometry-optimized Sr2Si3Ni structure, computed with GGA-PBE.

Summary:
symmetry: P-6m2
volume: 134.7 Å³/cell
energy of formation from the pure elements: -0.38 eV/atom
magnetic moment: 0.002 μB/atom

Lattice parameters (Å, degrees): 4.083 4.083 9.330 90.00 90.00 120.00
Sites, in units of the cell vectors:
Sr: 0.000 0.000 0.239
Sr: 0.000 0.000 0.761
Si: 0.333 0.667 0.500
Si: 0.667 0.333 0.000
Si: 0.667 0.333 0.500
Ni: 0.333 0.667 0.000

---

No. 11
A geometry-optimized KBiO3 structure, computed with GGA-PBE.

Summary:
symmetry: Pn-3
volume: 1066.0 Å³/cell
energy of formation from the pure elements: -1.58 eV/atom

Lattice parameters (Å, degrees): 10.215 10.215 10.215 90.00 90.00 90.00
Sites, in units of the cell vectors:
K: 0.000 0.000 0.000
K: 0.000 0.500 0.500
K: 0.094 0.094 0.406
K: 0.094 0.406 0.094
K: 0.406 0.094 0.094
K: 0.406 0.406 0.406
K: 0.500 0.000 0.500
K: 0.500 0.500 0.000
K: 0.594 0.594 0.594
K: 0.594 0.906 0.906
K: 0.906 0.594 0.906
K: 0.906 0.906 0.594
Bi: 0.091 0.250 0.750
Bi: 0.250 0.591 0.750
Bi: 0.250 0.750 0.091
Bi: 0.250 0.750 0.409
Bi: 0.250 0.909 0.750
Bi: 0.409 0.250 0.750
Bi: 0.591 0.750 0.250
Bi: 0.750 0.091 0.250
Bi: 0.750 0.250 0.591
Bi: 0.750 0.250 0.909
Bi: 0.750 0.409 0.250
Bi: 0.909 0.750 0.250
O: 0.037 0.747 0.084
O: 0.037 0.753 0.416
O: 0.084 0.037 0.747
O: 0.084 0.463 0.753
O: 0.109 0.750 0.750
O: 0.247 0.584 0.963
O: 0.247 0.916 0.537
O: 0.250 0.250 0.609
O: 0.250 0.250 0.891
O: 0.250 0.609 0.250
O: 0.250 0.891 0.250
O: 0.253 0.584 0.537
O: 0.253 0.916 0.963
O: 0.391 0.750 0.750
O: 0.416 0.037 0.753
O: 0.416 0.463 0.747
O: 0.463 0.747 0.416
O: 0.463 0.753 0.084
O: 0.537 0.247 0.916
O: 0.537 0.253 0.584
O: 0.584 0.537 0.253
O: 0.584 0.963 0.247
O: 0.609 0.250 0.250
O: 0.747 0.084 0.037
O: 0.747 0.416 0.463
O: 0.750 0.109 0.750
O: 0.750 0.391 0.750
O: 0.750 0.750 0.109
O: 0.750 0.750 0.391
O: 0.753 0.084 0.463
O: 0.753 0.416 0.037
O: 0.891 0.250 0.250
O: 0.916 0.537 0.247
O: 0.916 0.963 0.253
O: 0.963 0.247 0.584
O: 0.963 0.253 0.916